No. 1
## TiZnAs2O7 (PBE)

Data for an optimized crystal structure of TiZnAs2O7.

Cell: 8.4167 8.5930 11.0023 Å, 90.00 124.91 90.00°
Last column: nearest neighbours and their distance in Å.
Sites, in units of the cell vectors:
Ti: 0.1471 0.0260 0.2845  4 O 1.72-1.92
Ti: 0.1471 0.4740 0.7845  4 O 1.72-1.92
Ti: 0.8529 0.5260 0.2155  4 O 1.72-1.92
Ti: 0.8529 0.9740 0.7155  4 O 1.72-1.92
Zn: 0.3413 0.1236 0.8782  4 O 1.99-2.11
Zn: 0.3413 0.3764 0.3782  4 O 1.99-2.11
Zn: 0.6587 0.6236 0.6218  4 O 1.99-2.11
Zn: 0.6587 0.8764 0.1218  4 O 1.99-2.11
As: 0.0037 0.6956 0.9648  3 O 1.80-1.91
As: 0.0037 0.8044 0.4648  3 O 1.80-1.91
As: 0.4299 0.7263 0.2643  4 O 1.70-1.76
As: 0.4299 0.7737 0.7643  4 O 1.70-1.76
As: 0.5701 0.2263 0.2357  4 O 1.70-1.76
As: 0.5701 0.2737 0.7357  4 O 1.70-1.76
As: 0.9963 0.1956 0.5352  3 O 1.80-1.91
As: 0.9963 0.3044 0.0352  3 O 1.80-1.91
O: 0.0193 0.6185 0.3972  1 As 1.80, 1 Ti 1.84
O: 0.0193 0.8815 0.8972  1 As 1.80, 1 Ti 1.84
O: 0.0338 0.0772 0.6890  1 As 1.84, 1 Ti 1.92
O: 0.0338 0.4228 0.1890  1 As 1.84, 1 Ti 1.92
O: 0.2562 0.1750 0.4114  1 Ti 1.72
O: 0.2562 0.3250 0.9114  1 Ti 1.72
O: 0.2748 0.6527 0.0837  2 As 1.76-1.91
O: 0.2748 0.8473 0.5837  2 As 1.76-1.91
O: 0.3176 0.6133 0.7770  1 As 1.72, 1 Ti 1.91
O: 0.3176 0.8867 0.2770  1 As 1.72, 1 Ti 1.91
O: 0.3640 0.2315 0.7233  1 As 1.70
O: 0.3640 0.2685 0.2233  1 As 1.70
O: 0.4625 0.5895 0.3917  1 As 1.73
O: 0.4625 0.9105 0.8917  1 As 1.73
O: 0.5375 0.0895 0.1083  1 As 1.73
O: 0.5375 0.4105 0.6083  1 As 1.73
O: 0.6360 0.7315 0.7767  1 As 1.70
O: 0.6360 0.7685 0.2767  1 As 1.70
O: 0.6824 0.1133 0.7230  1 As 1.72, 1 Ti 1.91
O: 0.6824 0.3867 0.2230  1 As 1.72, 1 Ti 1.91
O: 0.7252 0.1527 0.4163  2 As 1.76-1.91
O: 0.7252 0.3473 0.9163  2 As 1.76-1.91
O: 0.7438 0.6750 0.0886  1 Ti 1.72
O: 0.7438 0.8250 0.5886  1 Ti 1.72
O: 0.9662 0.5772 0.8110  1 As 1.84, 1 Ti 1.92
O: 0.9662 0.9228 0.3110  1 As 1.84, 1 Ti 1.92
O: 0.9807 0.1185 0.1028  1 As 1.80, 1 Ti 1.84
O: 0.9807 0.3815 0.6028  1 As 1.80, 1 Ti 1.84

* calculated density: 3.82 g/cm3
* total magnetic moment: 0.00 μB/cell
* E_form: -2.136 eV per atom
* VASP energy: -6.526 eV/atom

=====

No. 2
## Mg7Al22O40 (PBE)

Data for an optimized crystal structure of Mg7Al22O40.

Cell: 5.7318 5.7318 23.6466 Å, 97.15 97.15 60.07°
Last column: nearest neighbours and their distance in Å.
Sites, in units of the cell vectors:
Mg: 0.0000 0.0000 0.0000  4 O 1.92-1.98
Mg: 0.2540 0.2540 0.7491  4 O 1.93-1.97
Mg: 0.4027 0.4027 0.2026  4 O 1.94-1.98
Mg: 0.5293 0.5293 0.0775  6 O 1.99-2.09
Mg: 0.6035 0.6035 0.7994  4 O 1.93-2.03
Mg: 0.6584 0.6584 0.9548  4 O 1.96-1.99
Mg: 0.9346 0.9346 0.2801  6 O 2.00-2.05
Al: 0.0374 0.5273 0.0767  6 O 1.87-2.07
Al: 0.0653 0.0653 0.1556  4 O 1.81-1.86
Al: 0.1295 0.1295 0.8748  6 O 1.90-1.96
Al: 0.1303 0.6281 0.8752  6 O 1.91-1.97
Al: 0.1497 0.1497 0.3816  6 O 1.85-2.06
Al: 0.1962 0.1962 0.5957  4 O 1.73-1.89
Al: 0.2248 0.7294 0.6731  6 O 1.89-1.99
Al: 0.3287 0.3287 0.9766  6 O 1.87-1.98
Al: 0.3287 0.8314 0.4748  6 O 1.90-2.01
Al: 0.4400 0.9310 0.2785  6 O 1.85-2.02
Al: 0.4707 0.4707 0.3553  4 O 1.77-1.90
Al: 0.5138 0.5138 0.5682  4 O 1.80-1.97
Al: 0.5273 0.0374 0.0767  6 O 1.87-2.07
Al: 0.6281 0.1303 0.8752  6 O 1.91-1.97
Al: 0.7278 0.7278 0.6727  6 O 1.90-1.97
Al: 0.7294 0.2248 0.6731  6 O 1.89-1.99
Al: 0.7348 0.7348 0.1809  6 O 1.88-2.01
Al: 0.7999 0.7999 0.4039  4 O 1.78-1.88
Al: 0.8314 0.3287 0.4748  6 O 1.90-2.01
Al: 0.8567 0.8567 0.5464  4 O 1.77-1.87
Al: 0.9285 0.9285 0.7747  6 O 1.89-1.97
Al: 0.9310 0.4400 0.2785  6 O 1.85-2.02
O: 0.0110 0.4597 0.9207  3 Al 1.90-1.98, 1 Mg 1.98
O: 0.0471 0.5898 0.2313  2 Al 1.85-1.88, 2 Mg 1.94-2.00
O: 0.0580 0.0580 0.7190  3 Al 1.90-1.97, 1 Mg 1.97
O: 0.0577 0.6137 0.7188  3 Al 1.89-1.97, 1 Mg 1.97
O: 0.0941 0.0941 0.2337  3 Al 1.83-1.95
O: 0.1652 0.1652 0.5218  3 Al 1.73-1.93
O: 0.1830 0.6423 0.0256  2 Al 1.87-1.89, 2 Mg 1.92-2.04
O: 0.1934 0.1934 0.0284  1 Mg 1.94, 3 Al 1.94
O: 0.1946 0.6950 0.5279  3 Al 1.77-1.96
O: 0.2425 0.7973 0.8251  3 Al 1.89-1.96, 1 Mg 1.93
O: 0.2814 0.2814 0.3282  4 Al 1.90-2.02
O: 0.2820 0.2820 0.8316  1 Mg 1.93, 3 Al 1.94
O: 0.2885 0.8094 0.3288  3 Al 1.83-2.02, 1 Mg 2.03
O: 0.3689 0.3689 0.1198  2 Al 1.87, 2 Mg 1.94-2.00
O: 0.3842 0.3842 0.6242  4 Al 1.89-1.99
O: 0.3878 0.8600 0.6264  3 Al 1.87-1.95
O: 0.4023 0.8844 0.1305  3 Al 1.81-2.01
O: 0.4597 0.0110 0.9207  3 Al 1.90-1.98, 1 Mg 1.98
O: 0.4623 0.4623 0.9218  3 Al 1.92-1.98, 1 Mg 1.99
O: 0.4660 0.9711 0.4272  3 Al 1.78-1.90
O: 0.4960 0.4960 0.4310  3 Al 1.77-1.90
O: 0.5729 0.5729 0.7128  3 Al 1.90-1.92, 1 Mg 2.03
O: 0.5898 0.0471 0.2313  2 Al 1.85-1.88, 2 Mg 1.94-2.00
O: 0.5990 0.5990 0.2329  3 Al 1.90-1.95, 1 Mg 1.98
O: 0.6137 0.0577 0.7188  3 Al 1.89-1.97, 1 Mg 1.97
O: 0.6423 0.1830 0.0256  2 Al 1.87-1.89, 2 Mg 1.92-2.04
O: 0.6699 0.6699 0.5261  4 Al 1.85-2.01
O: 0.6942 0.6942 0.0387  2 Al 1.87, 2 Mg 1.96-1.99
O: 0.6950 0.1946 0.5279  3 Al 1.77-1.96
O: 0.7769 0.7769 0.3271  3 Al 1.80-1.96
O: 0.7973 0.2425 0.8251  3 Al 1.89-1.96, 1 Mg 1.93
O: 0.7972 0.7972 0.8251  3 Al 1.89-1.97, 1 Mg 1.93
O: 0.8094 0.2885 0.3288  3 Al 1.83-2.02, 1 Mg 2.03
O: 0.8600 0.3878 0.6264  3 Al 1.87-1.95
O: 0.8777 0.8777 0.6264  4 Al 1.87-1.98
O: 0.8795 0.8795 0.1297  4 Al 1.86-2.07
O: 0.8844 0.4023 0.1305  3 Al 1.81-2.01
O: 0.9711 0.4660 0.4272  3 Al 1.78-1.90
O: 0.9760 0.9760 0.9153  3 Al 1.91, 1 Mg 1.98
O: 0.9889 0.9889 0.4279  4 Al 1.88-2.06

* calculated density: 3.50 g/cm3
* total magnetic moment: 0.00 μB/cell
* E_form: -3.351 eV per atom
* VASP energy: -7.178 eV/atom

=====

No. 3
## Ba2SmMgCu3O7 (PBE)

Data for an optimized crystal structure of Ba2SmMgCu3O7.

Cell: 3.7549 4.0019 14.5861 Å, 90.00 90.00 90.00°
Last column: nearest neighbours and their distance in Å.
Sites, in units of the cell vectors:
Ba: 0.0000 0.0000 0.0000  2 O 2.51
Ba: 0.0000 0.0000 0.3125  6 O 2.78-2.85
Sm: 0.0000 0.0000 0.5697  8 O 2.36-2.57
Mg: 0.0000 0.5000 0.8134  3 O 1.94-2.11
Cu: 0.5000 0.5000 0.1501  3 O 1.95-1.99
Cu: 0.5000 0.5000 0.4506  4 O 1.92-2.00
Cu: 0.5000 0.5000 0.6734  4 O 1.88-2.00
O: 0.0000 0.5000 0.1041  2 Cu 1.99
O: 0.0000 0.5000 0.4777  2 Cu 1.92
O: 0.0000 0.5000 0.6805  2 Cu 1.88, 1 Mg 1.94
O: 0.5000 0.0000 0.4591  2 Cu 2.00
O: 0.5000 0.0000 0.6677  2 Cu 2.00
O: 0.5000 0.5000 0.2835  1 Cu 1.95
O: 0.5000 0.5000 0.8801  2 Mg 2.11

* calculated density: 5.70 g/cm3
* total magnetic moment: 0.00 μB/cell
* E_form: -2.066 eV per atom
* VASP energy: -5.800 eV/atom